(1)
Here is a geometry-optimized MnCO3 structure from the Materials Project. Energies are from PBE+U.

Cell lengths 4.863, 6.197, 7.707 Å; angles 73.72, 89.75, 89.68 degrees
Sites, in units of the cell vectors:
Mn1 0.315 0.250 0.503
Mn2 0.685 0.750 0.497
Mn3 0.685 0.750 0.997
Mn4 0.315 0.250 0.003
O1 0.325 0.884 0.119
O2 0.319 0.616 0.383
O3 0.681 0.384 0.117
O4 0.080 0.249 0.253
O5 0.681 0.384 0.617
O6 0.675 0.116 0.381
O7 0.325 0.884 0.619
O8 0.920 0.751 0.747
O9 0.081 0.249 0.753
O10 0.675 0.116 0.881
O11 0.919 0.751 0.247
O12 0.319 0.616 0.883
C1 0.813 0.250 0.250
C2 0.187 0.750 0.250
C3 0.813 0.250 0.750
C4 0.187 0.750 0.750

Computed properties:
ΔH_f (0 K) = -1.984 eV per atom

***

(2)
Here is a geometry-optimized MnC4O6 structure from the Materials Project. Energies are from PBE+U.

Cell lengths 8.264, 8.264, 8.264 Å; angles 88.67, 88.67, 88.67 degrees
Sites, in units of the cell vectors:
Mn1 0.000 0.500 0.500
Mn2 0.500 0.000 0.500
Mn3 0.500 0.500 0.000
C1 0.041 0.493 0.120
C2 0.044 0.879 0.505
C3 0.120 0.041 0.493
C4 0.121 0.495 0.956
C5 0.493 0.120 0.041
C6 0.495 0.956 0.121
C7 0.505 0.044 0.879
C8 0.507 0.880 0.959
C9 0.879 0.505 0.044
C10 0.880 0.959 0.507
C11 0.956 0.121 0.495
C12 0.959 0.507 0.880
O1 0.096 0.483 0.258
O2 0.100 0.739 0.511
O3 0.173 0.419 0.572
O4 0.258 0.096 0.483
O5 0.261 0.489 0.900
O6 0.419 0.572 0.173
O7 0.428 0.827 0.581
O8 0.483 0.258 0.096
O9 0.489 0.900 0.261
O10 0.511 0.100 0.739
O11 0.517 0.742 0.904
O12 0.572 0.173 0.419
O13 0.581 0.428 0.827
O14 0.739 0.511 0.100
O15 0.742 0.904 0.517
O16 0.827 0.581 0.428
O17 0.900 0.261 0.489
O18 0.904 0.517 0.742

Computed properties:
ΔH_f (0 K) = -0.785 eV per atom
space-group type = R-3

***

(3)
Here is a geometry-optimized MnC5O5 structure from the Materials Project. Energies are from PBE+U.

Cell lengths 12.000, 12.000, 12.570 Å; angles 118.95, 118.95, 31.60 degrees
Sites, in units of the cell vectors:
Mn1 0.120 0.633 0.726
Mn2 0.367 0.880 0.774
Mn3 0.633 0.120 0.226
Mn4 0.880 0.367 0.274
C1 0.013 0.724 0.581
C2 0.043 0.091 0.192
C3 0.069 0.337 0.295
C4 0.091 0.043 0.692
C5 0.273 0.534 0.877
C6 0.276 0.987 0.919
C7 0.337 0.069 0.795
C8 0.337 0.347 0.649
C9 0.347 0.337 0.149
C10 0.466 0.727 0.623
C11 0.534 0.273 0.377
C12 0.653 0.663 0.851
C13 0.663 0.653 0.351
C14 0.663 0.931 0.205
C15 0.724 0.013 0.081
C16 0.727 0.466 0.123
C17 0.909 0.957 0.308
C18 0.931 0.663 0.705
C19 0.957 0.909 0.808
C20 0.987 0.276 0.419
O1 0.053 0.217 0.509
O2 0.080 0.859 0.358
O3 0.141 0.920 0.142
O4 0.169 0.476 0.104
O5 0.187 0.317 0.307
O6 0.217 0.053 0.009
O7 0.317 0.187 0.807
O8 0.370 0.470 0.970
O9 0.470 0.370 0.470
O10 0.476 0.169 0.604
O11 0.524 0.831 0.396
O12 0.530 0.630 0.530
O13 0.630 0.530 0.030
O14 0.683 0.813 0.193
O15 0.783 0.947 0.991
O16 0.813 0.683 0.693
O17 0.831 0.524 0.896
O18 0.859 0.080 0.858
O19 0.920 0.141 0.642
O20 0.947 0.783 0.491

Computed properties:
ΔH_f (0 K) = -0.743 eV per atom
ΔE to the lowest computed polymorph = 4.32 kJ/mol of atoms
space-group type = C2/c

***

(4)
Here is a geometry-optimized MnC2O6 structure from the Materials Project. Energies are from PBE+U.

Cell lengths 6.303, 6.303, 9.995 Å; angles 120.55, 120.55, 50.94 degrees
Sites, in units of the cell vectors:
Mn1 0.173 0.827 0.750
Mn2 0.827 0.173 0.250
C1 0.281 0.626 0.157
C2 0.374 0.719 0.343
C3 0.626 0.281 0.657
C4 0.719 0.374 0.843
O1 0.024 0.674 0.751
O2 0.038 0.798 0.086
O3 0.202 0.962 0.414
O4 0.326 0.976 0.749
O5 0.384 0.452 0.586
O6 0.452 0.384 0.086
O7 0.548 0.616 0.914
O8 0.616 0.548 0.414
O9 0.674 0.024 0.251
O10 0.798 0.038 0.586
O11 0.962 0.202 0.914
O12 0.976 0.326 0.249

Computed properties:
ΔH_f (0 K) = -1.145 eV per atom
ΔE to the lowest computed polymorph = 54.80 kJ/mol of atoms
space-group type = C2/c

***

(5)
Here is a geometry-optimized MnC6O6 structure from the Materials Project. Energies are from PBE+U.

Cell lengths 6.979, 6.979, 13.192 Å; angles 103.80, 103.80, 95.13 degrees
Sites, in units of the cell vectors:
Mn1 0.000 0.000 0.000
C1 0.082 0.312 0.997
C2 0.191 0.191 0.504
C3 0.312 0.082 0.997
C4 0.688 0.918 0.003
C5 0.809 0.809 0.496
C6 0.918 0.688 0.003
O1 0.076 0.304 0.504
O2 0.268 0.268 0.002
O3 0.304 0.076 0.504
O4 0.696 0.924 0.496
O5 0.732 0.732 0.998
O6 0.924 0.696 0.496

Computed properties:
ΔH_f (0 K) = 0.235 eV per atom
ΔE to the lowest computed polymorph = 10.27 kJ/mol of atoms
space-group type = C2/m

***

(6)
Here is a geometry-optimized MnC2O6 structure from the Materials Project. Energies are from PBE+U.

Cell lengths 5.279, 6.138, 13.684 Å; angles 90.00, 90.00, 90.00 degrees
Sites, in units of the cell vectors:
Mn1 0.059 0.181 0.331
Mn2 0.441 0.819 0.831
Mn3 0.559 0.319 0.669
Mn4 0.941 0.681 0.169
C1 0.093 0.703 0.382
C2 0.127 0.848 0.475
C3 0.373 0.152 0.975
C4 0.407 0.297 0.882
C5 0.593 0.797 0.618
C6 0.627 0.652 0.525
C7 0.873 0.348 0.025
C8 0.907 0.203 0.118
O1 0.024 0.851 0.795
O2 0.044 0.813 0.302
O3 0.116 0.503 0.387
O4 0.137 0.330 0.636
O5 0.137 0.761 0.557
O6 0.139 0.054 0.460
O7 0.361 0.946 0.960
O8 0.363 0.239 0.057
O9 0.363 0.670 0.136
O10 0.384 0.497 0.887
O11 0.456 0.187 0.802
O12 0.476 0.149 0.295
O13 0.524 0.649 0.205
O14 0.544 0.687 0.698
O15 0.616 0.997 0.613
O16 0.637 0.170 0.364
O17 0.637 0.739 0.443
O18 0.639 0.446 0.540
O19 0.861 0.554 0.040
O20 0.863 0.261 0.943
O21 0.863 0.830 0.864
O22 0.884 0.003 0.113
O23 0.956 0.313 0.198
O24 0.976 0.351 0.705

Computed properties:
ΔH_f (0 K) = -1.042 eV per atom
ΔE to the lowest computed polymorph = 64.72 kJ/mol of atoms
space-group type = P2_12_12_1

***

(7)
Here is a geometry-optimized MnCO3 structure from the Materials Project. Energies are from PBE+U.

Cell lengths 4.867, 6.200, 7.703 Å; angles 73.79, 89.89, 89.54 degrees
Sites, in units of the cell vectors:
O1 0.674 0.116 0.380
O2 0.326 0.884 0.620
O3 0.674 0.116 0.880
O4 0.319 0.616 0.383
O5 0.681 0.384 0.117
O6 0.921 0.751 0.746
O7 0.079 0.249 0.754
O8 0.319 0.616 0.883
O9 0.681 0.384 0.617
O10 0.079 0.249 0.254
O11 0.326 0.884 0.120
O12 0.921 0.751 0.246
C1 0.188 0.750 0.249
C2 0.812 0.250 0.251
C3 0.188 0.750 0.749
C4 0.812 0.250 0.751
Mn1 0.687 0.750 0.496
Mn2 0.313 0.250 0.004
Mn3 0.687 0.750 0.996
Mn4 0.313 0.250 0.504

Computed properties:
ΔH_f (0 K) = -1.983 eV per atom

***

(8)
Here is a geometry-optimized MnC6O6 structure from the Materials Project. Energies are from PBE+U.

Cell lengths 8.807, 8.807, 19.956 Å; angles 91.05, 91.05, 116.06 degrees
Sites, in units of the cell vectors:
Mn1 0.000 0.500 0.000
Mn2 0.500 0.000 0.500
C1 0.028 0.729 0.001
C2 0.106 0.893 0.000
C3 0.107 0.894 0.500
C4 0.108 0.484 0.755
C5 0.271 0.972 0.499
C6 0.484 0.108 0.255
C7 0.516 0.892 0.745
C8 0.729 0.028 0.501
C9 0.892 0.516 0.245
C10 0.893 0.106 0.500
C11 0.894 0.107 0.000
C12 0.972 0.271 0.999
O1 0.042 0.375 0.717
O2 0.043 0.185 0.500
O3 0.185 0.043 0.000
O4 0.338 0.530 0.248
O5 0.375 0.042 0.217
O6 0.470 0.662 0.252
O7 0.530 0.338 0.748
O8 0.625 0.958 0.783
O9 0.662 0.470 0.752
O10 0.815 0.957 0.000
O11 0.957 0.815 0.500
O12 0.958 0.625 0.283

Computed properties:
ΔH_f (0 K) = 0.129 eV per atom
ΔE to the lowest computed polymorph = 0.00 kJ/mol of atoms
space-group type = C2/c